Version i
The following is a GGA+U calculation of CaMn8O13F3 after structural relaxation, from the Materials Project database.

Cell lengths 5.846, 6.851, 7.173 Å; angles 95.01, 99.68, 92.68 degrees
Fractional coordinates of all 25 atoms:
1 Ca 0.000 0.000 0.000
2 Mn 0.023 0.696 0.574
3 Mn 0.146 0.192 0.585
4 Mn 0.222 0.643 0.081
5 Mn 0.399 0.413 0.365
6 Mn 0.461 0.944 0.854
7 Mn 0.619 0.951 0.385
8 Mn 0.702 0.414 0.801
9 Mn 0.802 0.348 0.205
10 O 0.104 0.219 0.317
11 O 0.180 0.611 0.341
12 O 0.194 0.754 0.833
13 O 0.379 0.984 0.578
14 O 0.387 0.899 0.145
15 O 0.402 0.395 0.629
16 O 0.497 0.464 0.131
17 O 0.631 0.222 0.372
18 O 0.681 0.163 0.917
19 O 0.827 0.907 0.230
20 O 0.913 0.982 0.586
21 O 0.949 0.422 0.618
22 O 0.950 0.462 0.017
23 F 0.218 0.185 0.856
24 F 0.657 0.676 0.454
25 F 0.701 0.726 0.837

Properties
* space-group type: P1, No. 1
* M_tot: 29.013 μB per formula unit

=====

Version ii
The following is a GGA+U calculation of CaMn8O13F3 after structural relaxation, from the Materials Project database.

Cell lengths 5.778, 6.928, 7.055 Å; angles 83.75, 85.88, 86.19 degrees
Fractional coordinates of all 25 atoms:
1 Ca 0.000 0.000 0.000
2 Mn 0.085 0.635 0.273
3 Mn 0.179 0.249 0.612
4 Mn 0.281 0.683 0.742
5 Mn 0.370 0.168 0.250
6 Mn 0.530 0.971 0.929
7 Mn 0.635 0.417 0.511
8 Mn 0.820 0.441 0.993
9 Mn 0.828 0.924 0.497
10 O 0.057 0.639 0.988
11 O 0.058 0.116 0.427
12 O 0.073 0.716 0.533
13 O 0.279 0.963 0.763
14 O 0.327 0.426 0.345
15 O 0.344 0.924 0.162
16 O 0.383 0.409 0.714
17 O 0.568 0.130 0.453
18 O 0.633 0.198 0.058
19 O 0.785 0.971 0.754
20 O 0.841 0.458 0.281
21 O 0.852 0.839 0.255
22 O 0.883 0.370 0.721
23 F 0.158 0.267 0.048
24 F 0.541 0.656 0.935
25 F 0.586 0.718 0.547

Properties
* space-group type: P1, No. 1
* M_tot: 29.001 μB per formula unit

=====

Which one sits at the bottom of the stability order? version i does.

=====

Version i
The following is a GGA+U calculation of LiMn2V4O8 after structural relaxation, from the Materials Project database.

Cell lengths 6.216, 6.307, 6.340 Å; angles 119.71, 119.15, 90.20 degrees
Fractional coordinates of all 15 atoms:
1 Li 0.000 0.000 0.000
2 Mn 0.243 0.742 0.484
3 Mn 0.498 0.498 0.996
4 V 0.404 0.129 0.259
5 V 0.854 0.130 0.259
6 V 0.866 0.601 0.731
7 V 0.867 0.130 0.731
8 O 0.083 0.362 0.723
9 O 0.107 0.882 0.764
10 O 0.108 0.333 0.214
11 O 0.108 0.882 0.214
12 O 0.640 0.361 0.723
13 O 0.640 0.906 0.284
14 O 0.641 0.378 0.284
15 O 0.658 0.883 0.766

Properties
* space-group type: P1, No. 1
* M_tot: 19.001 μB per formula unit

=====

Version ii
The following is a GGA+U calculation of LiMn2V4O8 after structural relaxation, from the Materials Project database.

Cell lengths 6.029, 6.039, 6.381 Å; angles 62.01, 89.94, 60.06 degrees
Fractional coordinates of all 15 atoms:
1 Li 0.000 0.000 0.000
2 Mn 0.145 0.711 0.434
3 Mn 0.855 0.289 0.566
4 V 0.000 0.500 0.000
5 V 0.500 0.000 0.000
6 V 0.500 0.000 0.500
7 V 0.500 0.500 0.000
8 O 0.247 0.026 0.222
9 O 0.250 0.503 0.227
10 O 0.265 0.466 0.805
11 O 0.273 0.973 0.781
12 O 0.727 0.027 0.219
13 O 0.735 0.534 0.195
14 O 0.750 0.497 0.773
15 O 0.753 0.974 0.778

Properties
* space-group type: P-1, No. 2
* M_tot: 19.000 μB per formula unit

=====

Which one sits at the bottom of the stability order? version i does.

=====

Version i
The following is a GGA+U calculation of V2ZnO4 after structural relaxation, from the Materials Project database.

Cell lengths 7.336, 7.336, 9.643 Å; angles 129.24, 129.24, 22.97 degrees
Fractional coordinates of all 14 atoms:
1 V 0.140 0.140 0.467
2 V 0.348 0.348 0.183
3 V 0.652 0.652 0.817
4 V 0.860 0.860 0.533
5 Zn 0.116 0.116 0.117
6 Zn 0.884 0.884 0.883
7 O 0.033 0.033 0.722
8 O 0.292 0.292 0.933
9 O 0.331 0.331 0.650
10 O 0.356 0.356 0.399
11 O 0.644 0.644 0.601
12 O 0.669 0.669 0.350
13 O 0.708 0.708 0.067
14 O 0.967 0.967 0.278

Properties
* space-group type: C2/m, No. 12

=====

Version ii
The following is a GGA+U calculation of V2ZnO4 after structural relaxation, from the Materials Project database.

Cell lengths 6.059, 6.059, 6.059 Å; angles 60.00, 60.00, 60.00 degrees
Fractional coordinates of all 14 atoms:
1 V 0.000 0.000 0.000
2 V 0.000 0.000 0.500
3 V 0.000 0.500 0.000
4 V 0.500 0.000 0.000
5 Zn 0.375 0.375 0.375
6 Zn 0.625 0.625 0.625
7 O 0.220 0.760 0.760
8 O 0.240 0.240 0.240
9 O 0.240 0.240 0.780
10 O 0.240 0.780 0.240
11 O 0.760 0.220 0.760
12 O 0.760 0.760 0.220
13 O 0.760 0.760 0.760
14 O 0.780 0.240 0.240

Properties
* space-group type: Fd-3m, No. 227
* M_tot: 4.000 μB per formula unit

=====

Which one sits at the bottom of the stability order? version i does.

=====

Version i
The following is a GGA+U calculation of Ba2AlTlV2O7 after structural relaxation, from the Materials Project database.

Cell lengths 3.489, 3.899, 16.390 Å; angles 85.41, 89.92, 89.98 degrees
Fractional coordinates of all 13 atoms:
1 Ba 0.000 0.000 0.000
2 Ba 0.004 0.957 0.417
3 Al 0.002 0.954 0.709
4 Tl 0.502 0.551 0.215
5 V 0.501 0.540 0.855
6 V 0.503 0.492 0.594
7 O 0.002 0.487 0.312
8 O 0.002 0.619 0.787
9 O 0.003 0.720 0.613
10 O 0.500 0.521 0.976
11 O 0.502 0.060 0.865
12 O 0.502 0.125 0.687
13 O 0.504 0.412 0.485

Properties
* space-group type: P1, No. 1
* M_tot: 3.959 μB per formula unit

=====

Version ii
The following is a GGA+U calculation of Ba2AlTlV2O7 after structural relaxation, from the Materials Project database.

Cell lengths 3.991, 3.489, 16.305 Å; angles 90.00, 96.83, 90.00 degrees
Fractional coordinates of all 13 atoms:
1 Ba 0.000 0.000 0.000
2 Ba 0.003 0.000 0.415
3 Al 0.067 0.000 0.699
4 Tl 0.503 0.500 0.197
5 V 0.437 0.500 0.858
6 V 0.513 0.500 0.585
7 O 0.304 0.000 0.609
8 O 0.349 0.000 0.790
9 O 0.473 0.500 0.978
10 O 0.541 0.500 0.470
11 O 0.787 0.000 0.272
12 O 0.895 0.500 0.677
13 O 0.911 0.500 0.867

Properties
* space-group type: Pm, No. 6
* M_tot: 3.995 μB per formula unit

=====

Which one sits at the bottom of the stability order? version ii does.